# FeOF (GGA+U, optimized geometry)
data_FeOF
_cell_length_a 14.202
_cell_length_b 3.100
_cell_length_c 14.217
_cell_angle_alpha 90.00
_cell_angle_beta 90.01
_cell_angle_gamma 90.00
_space_group_name_H-M_alt 'P 1'
_space_group_IT_number 1
_space_group_name_Hall 'P 1'
loop_
_atom_site_label
_atom_site_type_symbol
_atom_site_fract_x
_atom_site_fract_y
_atom_site_fract_z
Fe1 Fe 0.000 0.000 0.000
Fe2 Fe 0.002 0.000 0.665
Fe3 Fe 0.139 0.500 0.170
Fe4 Fe 0.146 0.500 0.501
Fe5 Fe 0.161 0.500 0.812
Fe6 Fe 0.305 0.000 0.652
Fe7 Fe 0.331 0.000 0.999
Fe8 Fe 0.333 0.000 0.332
Fe9 Fe 0.475 0.500 0.165
Fe10 Fe 0.478 0.500 0.833
Fe11 Fe 0.488 0.500 0.484
Fe12 Fe 0.655 0.000 0.344
Fe13 Fe 0.668 0.000 0.999
Fe14 Fe 0.673 0.000 0.656
Fe15 Fe 0.807 0.500 0.829
Fe16 Fe 0.816 0.500 0.161
Fe17 Fe 0.821 0.500 0.487
Fe18 Fe 0.996 0.000 0.342
O1 O 0.052 0.500 0.733
O2 O 0.054 0.500 0.057
O3 O 0.056 0.500 0.395
O4 O 0.084 0.000 0.228
O5 O 0.089 0.000 0.562
O6 O 0.227 0.000 0.765
O7 O 0.257 0.500 0.589
O8 O 0.382 0.500 0.397
O9 O 0.386 0.500 0.059
O10 O 0.419 0.000 0.890
O11 O 0.423 0.000 0.228
O12 O 0.550 0.000 0.431
O13 O 0.719 0.500 0.064
O14 O 0.719 0.500 0.725
O15 O 0.720 0.500 0.389
O16 O 0.757 0.000 0.895
O17 O 0.760 0.000 0.554
O18 O 0.888 0.000 0.431
F1 F 0.093 0.000 0.893
F2 F 0.218 0.000 0.423
F3 F 0.219 0.000 0.098
F4 F 0.251 0.500 0.934
F5 F 0.256 0.500 0.261
F6 F 0.389 0.500 0.721
F7 F 0.426 0.000 0.566
F8 F 0.550 0.000 0.764
F9 F 0.552 0.000 0.093
F10 F 0.587 0.500 0.599
F11 F 0.588 0.500 0.929
F12 F 0.590 0.500 0.258
F13 F 0.752 0.000 0.228
F14 F 0.886 0.000 0.767
F15 F 0.888 0.000 0.093
F16 F 0.917 0.500 0.259
F17 F 0.923 0.500 0.605
F18 F 0.927 0.500 0.929
# VASP energy in eV/cell: -324.2
# Total magnetic moment in μB/f.u.: 4.9



# LiMn3P3O11 (GGA+U, optimized geometry)
data_LiMn3P3O11
_cell_length_a 10.127
_cell_length_b 9.846
_cell_length_c 10.746
_cell_angle_alpha 90.00
_cell_angle_beta 121.98
_cell_angle_gamma 90.00
_space_group_name_H-M_alt 'P 1'
_space_group_IT_number 1
_space_group_name_Hall 'P 1'
loop_
_atom_site_label
_atom_site_type_symbol
_atom_site_fract_x
_atom_site_fract_y
_atom_site_fract_z
Li1 Li 0.150 0.195 0.115
Li2 Li 0.150 0.305 0.615
Li3 Li 0.850 0.695 0.385
Li4 Li 0.850 0.805 0.885
Mn1 Mn 0.217 0.617 0.849
Mn2 Mn 0.217 0.883 0.349
Mn3 Mn 0.407 0.139 0.890
Mn4 Mn 0.407 0.361 0.390
Mn5 Mn 0.416 0.635 0.229
Mn6 Mn 0.416 0.865 0.729
Mn7 Mn 0.584 0.135 0.271
Mn8 Mn 0.584 0.365 0.771
Mn9 Mn 0.593 0.639 0.610
Mn10 Mn 0.593 0.861 0.110
Mn11 Mn 0.783 0.117 0.651
Mn12 Mn 0.783 0.383 0.151
P1 P 0.099 0.565 0.239
P2 P 0.099 0.935 0.739
P3 P 0.260 0.570 0.560
P4 P 0.260 0.930 0.060
P5 P 0.383 0.155 0.557
P6 P 0.383 0.345 0.057
P7 P 0.617 0.655 0.943
P8 P 0.617 0.845 0.443
P9 P 0.740 0.070 0.940
P10 P 0.740 0.430 0.440
P11 P 0.901 0.065 0.261
P12 P 0.901 0.435 0.761
O1 O 0.033 0.529 0.863
O2 O 0.033 0.971 0.363
O3 O 0.077 0.717 0.213
O4 O 0.077 0.783 0.713
O5 O 0.117 0.531 0.400
O6 O 0.117 0.969 0.900
O7 O 0.215 0.510 0.663
O8 O 0.215 0.990 0.163
O9 O 0.259 0.522 0.264
O10 O 0.259 0.978 0.764
O11 O 0.268 0.212 0.404
O12 O 0.268 0.288 0.904
O13 O 0.282 0.724 0.560
O14 O 0.282 0.776 0.060
O15 O 0.352 0.216 0.675
O16 O 0.352 0.284 0.175
O17 O 0.380 0.502 0.057
O18 O 0.380 0.998 0.557
O19 O 0.411 0.001 0.082
O20 O 0.411 0.499 0.582
O21 O 0.451 0.713 0.897
O22 O 0.451 0.787 0.397
O23 O 0.549 0.213 0.603
O24 O 0.549 0.287 0.103
O25 O 0.589 0.501 0.418
O26 O 0.589 0.999 0.918
O27 O 0.620 0.002 0.443
O28 O 0.620 0.498 0.943
O29 O 0.648 0.716 0.825
O30 O 0.648 0.784 0.325
O31 O 0.718 0.224 0.940
O32 O 0.718 0.276 0.440
O33 O 0.732 0.712 0.096
O34 O 0.732 0.788 0.596
O35 O 0.741 0.022 0.236
O36 O 0.741 0.478 0.736
O37 O 0.785 0.010 0.837
O38 O 0.785 0.490 0.337
O39 O 0.883 0.031 0.100
O40 O 0.883 0.469 0.600
O41 O 0.923 0.217 0.287
O42 O 0.923 0.283 0.787
O43 O 0.967 0.029 0.637
O44 O 0.967 0.471 0.137
# Relative energy among the computed polymorphs in kcal/mol of atoms: 0.00
# VASP energy in eV/cell: -533.2
# Total magnetic moment in μB/f.u.: 5.0